Crystalline Ga3NO3 at its relaxed geometry. Source: the Materials Project, functional GGA-PBE.

Properties
SG: P1
Energy relative to the elements (eV/atom): -1.705
Energy above the most stable polymorph in this dataset (eV/atom): 0.009
Raw total energy (eV for the cell shown): -168.55

Lattice parameters (Å, degrees): 6.1412 8.3653 8.4189 60.49 89.46 89.30
Closest atoms and distances in Å follow each position.
Element x y z (fractional)
Ga 0.5442 0.9069 0.2579  4 O 1.85-1.89
Ga 0.8515 0.5667 0.5045  1 N 1.84, 3 O 1.90-1.93
Ga 0.5341 0.2608 0.8284  1 N 1.81, 3 O 1.90-1.95
Ga 0.8489 0.9209 0.5723  1 N 1.83, 3 O 1.89-1.93
Ga 0.8506 0.5025 0.9199  1 N 1.84, 3 O 1.89-1.94
Ga 0.0439 0.0897 0.1670  1 N 1.85, 3 O 1.89-1.94
Ga 0.3358 0.4249 0.0837  1 N 1.85, 3 O 1.89-1.93
Ga 0.5405 0.8383 0.9051  4 O 1.85-1.89
Ga 0.0401 0.7432 0.0887  1 N 1.84, 3 O 1.89-1.94
Ga 0.3296 0.0912 0.4921  1 N 1.85, 3 O 1.90-1.95
Ga 0.3319 0.4881 0.4351  2 N 1.86-1.87, 2 O 1.94-1.96
Ga 0.0531 0.1698 0.7443  2 N 1.87, 2 O 1.91-1.92
N 0.0719 0.3422 0.0492  3 Ga 1.84-1.85
N 0.0694 0.0354 0.6203  3 Ga 1.83-1.87
N 0.0746 0.6220 0.3378  3 Ga 1.84-1.87
N 0.2986 0.3183 0.6815  3 Ga 1.81-1.87
O 0.5739 0.6525 0.3856  3 Ga 1.86-1.94
O 0.7967 0.9879 0.3217  3 Ga 1.89-1.93
O 0.7986 0.3211 0.6944  3 Ga 1.90-1.91
O 0.5484 0.9984 0.0030  3 Ga 1.89-1.95
O 0.0354 0.9986 0.0017  3 Ga 1.89-1.92
O 0.8667 0.6643 0.6656  3 Ga 1.89-1.90
O 0.5662 0.9556 0.6507  3 Ga 1.87-1.92
O 0.5755 0.3849 0.9637  3 Ga 1.90
O 0.3033 0.0036 0.3166  3 Ga 1.85-1.95
O 0.7959 0.6928 0.9833  3 Ga 1.89-1.94
O 0.3025 0.6841 0.9971  3 Ga 1.85-1.94
O 0.4212 0.3353 0.3288  3 Ga 1.89-1.96